# PBE-GGA Sr2SnHg, optimized geometry
data_Sr2SnHg
_chemical_formula_sum 'Sr2 Sn1 Hg1'
_cell_length_a 5.729
_cell_length_b 5.729
_cell_length_c 5.729
_cell_angle_alpha 60.00
_cell_angle_beta 60.00
_cell_angle_gamma 60.00
_symmetry_space_group_name_H-M 'P 1'
_symmetry_Int_Tables_number 1
loop_
_symmetry_equiv_pos_as_xyz
'x,y,z'
loop_
_atom_site_label
_atom_site_fract_x
_atom_site_fract_y
_atom_site_fract_z
Sr1 0.250 0.250 0.250
Sr2 0.750 0.750 0.750
Sn1 0.000 0.000 0.000
Hg1 0.500 0.500 0.500
# **DFT total energy**: -10.3 eV per cell
# **ρ**: 6.18 g/cm³

---

# PBE-GGA SrHg8, optimized geometry
data_SrHg8
_chemical_formula_sum 'Sr8 Hg64'
_cell_length_a 13.496
_cell_length_b 5.471
_cell_length_c 27.350
_cell_angle_alpha 90.00
_cell_angle_beta 90.00
_cell_angle_gamma 90.00
_symmetry_space_group_name_H-M 'P 1'
_symmetry_Int_Tables_number 1
loop_
_symmetry_equiv_pos_as_xyz
'x,y,z'
loop_
_atom_site_label
_atom_site_fract_x
_atom_site_fract_y
_atom_site_fract_z
Sr1 0.044 0.250 0.201
Sr2 0.078 0.250 0.595
Sr3 0.422 0.750 0.095
Sr4 0.456 0.750 0.701
Sr5 0.544 0.250 0.299
Sr6 0.578 0.250 0.905
Sr7 0.922 0.750 0.405
Sr8 0.956 0.750 0.799
Hg1 0.008 0.250 0.051
Hg2 0.070 0.750 0.106
Hg3 0.071 0.250 0.727
Hg4 0.073 0.250 0.342
Hg5 0.084 0.250 0.453
Hg6 0.126 0.250 0.832
Hg7 0.127 0.750 0.510
Hg8 0.136 0.250 0.960
Hg9 0.145 0.750 0.679
Hg10 0.146 0.750 0.286
Hg11 0.174 0.750 0.396
Hg12 0.190 0.750 0.893
Hg13 0.214 0.750 0.014
Hg14 0.221 0.250 0.092
Hg15 0.222 0.750 0.184
Hg16 0.228 0.750 0.782
Hg17 0.272 0.250 0.282
Hg18 0.278 0.250 0.684
Hg19 0.279 0.750 0.592
Hg20 0.286 0.250 0.514
Hg21 0.310 0.250 0.393
Hg22 0.326 0.250 0.896
Hg23 0.354 0.250 0.786
Hg24 0.355 0.250 0.179
Hg25 0.364 0.750 0.460
Hg26 0.373 0.250 0.010
Hg27 0.374 0.750 0.332
Hg28 0.416 0.750 0.953
Hg29 0.427 0.750 0.842
Hg30 0.429 0.750 0.227
Hg31 0.430 0.250 0.606
Hg32 0.492 0.750 0.551
Hg33 0.508 0.250 0.449
Hg34 0.570 0.750 0.394
Hg35 0.571 0.250 0.773
Hg36 0.573 0.250 0.158
Hg37 0.584 0.250 0.047
Hg38 0.626 0.250 0.668
Hg39 0.627 0.750 0.990
Hg40 0.636 0.250 0.540
Hg41 0.645 0.750 0.821
Hg42 0.646 0.750 0.214
Hg43 0.674 0.750 0.104
Hg44 0.690 0.750 0.607
Hg45 0.714 0.750 0.486
Hg46 0.721 0.250 0.408
Hg47 0.722 0.750 0.316
Hg48 0.728 0.750 0.718
Hg49 0.772 0.250 0.218
Hg50 0.778 0.250 0.816
Hg51 0.779 0.750 0.908
Hg52 0.786 0.250 0.986
Hg53 0.810 0.250 0.107
Hg54 0.826 0.250 0.604
Hg55 0.854 0.250 0.714
Hg56 0.855 0.250 0.321
Hg57 0.864 0.750 0.040
Hg58 0.873 0.250 0.490
Hg59 0.874 0.750 0.168
Hg60 0.916 0.750 0.547
Hg61 0.927 0.750 0.658
Hg62 0.929 0.750 0.273
Hg63 0.930 0.250 0.894
Hg64 0.992 0.750 0.949
# **Magnetic moment**: 0.02 μB per cell
# **DFT total energy**: -45.2 eV per cell
# **ρ**: 11.13 g/cm³

---

# PBE-GGA SrHg3, optimized geometry
data_SrHg3
_chemical_formula_sum 'Sr2 Hg6'
_cell_length_a 6.989
_cell_length_b 6.989
_cell_length_c 5.371
_cell_angle_alpha 90.00
_cell_angle_beta 90.00
_cell_angle_gamma 120.00
_symmetry_space_group_name_H-M 'P 1'
_symmetry_Int_Tables_number 1
loop_
_symmetry_equiv_pos_as_xyz
'x,y,z'
loop_
_atom_site_label
_atom_site_fract_x
_atom_site_fract_y
_atom_site_fract_z
Sr1 0.333 0.667 0.250
Sr2 0.667 0.333 0.750
Hg1 0.157 0.315 0.750
Hg2 0.157 0.843 0.750
Hg3 0.315 0.157 0.250
Hg4 0.685 0.843 0.750
Hg5 0.843 0.157 0.250
Hg6 0.843 0.685 0.250
# **DFT total energy**: -8.6 eV per cell
# **ρ**: 10.08 g/cm³

---

# PBE-GGA SrHg2, optimized geometry
data_SrHg2
_chemical_formula_sum 'Sr2 Hg4'
_cell_length_a 6.438
_cell_length_b 6.438
_cell_length_c 6.438
_cell_angle_alpha 132.74
_cell_angle_beta 103.74
_cell_angle_gamma 94.81
_symmetry_space_group_name_H-M 'P 1'
_symmetry_Int_Tables_number 1
loop_
_symmetry_equiv_pos_as_xyz
'x,y,z'
loop_
_atom_site_label
_atom_site_fract_x
_atom_site_fract_y
_atom_site_fract_z
Sr1 0.290 0.040 0.250
Sr2 0.710 0.960 0.750
Hg1 0.120 0.666 0.454
Hg2 0.288 0.334 0.954
Hg3 0.712 0.666 0.046
Hg4 0.880 0.334 0.546
# **DFT total energy**: -7.5 eV per cell
# **ρ**: 9.08 g/cm³

---

# PBE-GGA SrHg3, optimized geometry
data_SrHg3
_chemical_formula_sum 'Sr4 Hg12'
_cell_length_a 6.791
_cell_length_b 9.931
_cell_length_c 6.867
_cell_angle_alpha 90.00
_cell_angle_beta 90.00
_cell_angle_gamma 90.00
_symmetry_space_group_name_H-M 'P 1'
_symmetry_Int_Tables_number 1
loop_
_symmetry_equiv_pos_as_xyz
'x,y,z'
loop_
_atom_site_label
_atom_site_fract_x
_atom_site_fract_y
_atom_site_fract_z
Sr1 0.009 0.250 0.033
Sr2 0.491 0.750 0.533
Sr3 0.509 0.250 0.467
Sr4 0.991 0.750 0.967
Hg1 0.013 0.250 0.528
Hg2 0.232 0.510 0.270
Hg3 0.232 0.990 0.270
Hg4 0.268 0.010 0.770
Hg5 0.268 0.490 0.770
Hg6 0.487 0.750 0.028
Hg7 0.513 0.250 0.972
Hg8 0.732 0.510 0.230
Hg9 0.732 0.990 0.230
Hg10 0.768 0.010 0.730
Hg11 0.768 0.490 0.730
Hg12 0.987 0.750 0.472
# **Magnetic moment**: 0.00 μB per cell
# **DFT total energy**: -16.7 eV per cell
# **ρ**: 9.89 g/cm³

---

# PBE-GGA Sr3Hg2, optimized geometry
data_Sr3Hg2
_chemical_formula_sum 'Sr6 Hg4'
_cell_length_a 9.072
_cell_length_b 9.072
_cell_length_c 4.559
_cell_angle_alpha 90.00
_cell_angle_beta 90.00
_cell_angle_gamma 90.00
_symmetry_space_group_name_H-M 'P 1'
_symmetry_Int_Tables_number 1
loop_
_symmetry_equiv_pos_as_xyz
'x,y,z'
loop_
_atom_site_label
_atom_site_fract_x
_atom_site_fract_y
_atom_site_fract_z
Sr1 0.000 0.000 0.000
Sr2 0.154 0.346 0.500
Sr3 0.346 0.846 0.500
Sr4 0.500 0.500 0.000
Sr5 0.654 0.154 0.500
Sr6 0.846 0.654 0.500
Hg1 0.143 0.643 0.000
Hg2 0.357 0.143 0.000
Hg3 0.643 0.857 0.000
Hg4 0.857 0.357 0.000
# **DFT total energy**: -15.8 eV per cell
# **ρ**: 5.88 g/cm³

---

# PBE-GGA SrHg3, optimized geometry
data_SrHg3
_chemical_formula_sum 'Sr2 Hg6'
_cell_length_a 5.514
_cell_length_b 7.056
_cell_length_c 5.831
_cell_angle_alpha 90.00
_cell_angle_beta 90.00
_cell_angle_gamma 90.00
_symmetry_space_group_name_H-M 'P 1'
_symmetry_Int_Tables_number 1
loop_
_symmetry_equiv_pos_as_xyz
'x,y,z'
loop_
_atom_site_label
_atom_site_fract_x
_atom_site_fract_y
_atom_site_fract_z
Sr1 0.250 0.250 0.155
Sr2 0.750 0.750 0.845
Hg1 0.250 0.504 0.663
Hg2 0.250 0.750 0.191
Hg3 0.250 0.996 0.663
Hg4 0.750 0.004 0.337
Hg5 0.750 0.250 0.809
Hg6 0.750 0.496 0.337
# **DFT total energy**: -8.5 eV per cell
# **ρ**: 10.09 g/cm³

---

# PBE-GGA SrHg2, optimized geometry
data_SrHg2
_chemical_formula_sum 'Sr1 Hg2'
_cell_length_a 5.091
_cell_length_b 5.091
_cell_length_c 4.044
_cell_angle_alpha 90.00
_cell_angle_beta 90.00
_cell_angle_gamma 120.00
_symmetry_space_group_name_H-M 'P 1'
_symmetry_Int_Tables_number 1
loop_
_symmetry_equiv_pos_as_xyz
'x,y,z'
loop_
_atom_site_label
_atom_site_fract_x
_atom_site_fract_y
_atom_site_fract_z
Sr1 0.000 0.000 0.000
Hg1 0.333 0.667 0.500
Hg2 0.667 0.333 0.500
# **DFT total energy**: -3.8 eV per cell
# **ρ**: 8.94 g/cm³

---

# PBE-GGA SrHg11, optimized geometry
data_SrHg11
_chemical_formula_sum 'Sr3 Hg33'
_cell_length_a 10.143
_cell_length_b 10.143
_cell_length_c 10.143
_cell_angle_alpha 90.00
_cell_angle_beta 90.00
_cell_angle_gamma 90.00
_symmetry_space_group_name_H-M 'P 1'
_symmetry_Int_Tables_number 1
loop_
_symmetry_equiv_pos_as_xyz
'x,y,z'
loop_
_atom_site_label
_atom_site_fract_x
_atom_site_fract_y
_atom_site_fract_z
Sr1 0.000 0.000 0.500
Sr2 0.000 0.500 0.000
Sr3 0.500 0.000 0.000
Hg1 0.000 0.342 0.342
Hg2 0.000 0.342 0.658
Hg3 0.000 0.658 0.342
Hg4 0.000 0.658 0.658
Hg5 0.153 0.153 0.153
Hg6 0.153 0.153 0.847
Hg7 0.153 0.847 0.153
Hg8 0.153 0.847 0.847
Hg9 0.262 0.262 0.500
Hg10 0.262 0.500 0.262
Hg11 0.262 0.500 0.738
Hg12 0.262 0.738 0.500
Hg13 0.342 0.000 0.342
Hg14 0.342 0.000 0.658
Hg15 0.342 0.342 0.000
Hg16 0.342 0.658 0.000
Hg17 0.500 0.262 0.262
Hg18 0.500 0.262 0.738
Hg19 0.500 0.500 0.500
Hg20 0.500 0.738 0.262
Hg21 0.500 0.738 0.738
Hg22 0.658 0.000 0.342
Hg23 0.658 0.000 0.658
Hg24 0.658 0.342 0.000
Hg25 0.658 0.658 0.000
Hg26 0.738 0.262 0.500
Hg27 0.738 0.500 0.262
Hg28 0.738 0.500 0.738
Hg29 0.738 0.738 0.500
Hg30 0.847 0.153 0.153
Hg31 0.847 0.153 0.847
Hg32 0.847 0.847 0.153
Hg33 0.847 0.847 0.847
# **Magnetic moment**: 0.00 μB per cell
# **DFT total energy**: -18.7 eV per cell
# **ρ**: 10.95 g/cm³

---

# PBE-GGA SrHg3, optimized geometry
data_SrHg3
_chemical_formula_sum 'Sr2 Hg6'
_cell_length_a 7.142
_cell_length_b 7.142
_cell_length_c 5.337
_cell_angle_alpha 90.00
_cell_angle_beta 90.00
_cell_angle_gamma 123.01
_symmetry_space_group_name_H-M 'P 1'
_symmetry_Int_Tables_number 1
loop_
_symmetry_equiv_pos_as_xyz
'x,y,z'
loop_
_atom_site_label
_atom_site_fract_x
_atom_site_fract_y
_atom_site_fract_z
Sr1 0.166 0.834 0.750
Sr2 0.834 0.166 0.250
Hg1 0.190 0.345 0.750
Hg2 0.343 0.657 0.250
Hg3 0.345 0.190 0.250
Hg4 0.655 0.810 0.750
Hg5 0.657 0.343 0.750
Hg6 0.810 0.655 0.250
# **Magnetic moment**: 0.00 μB per cell
# **DFT total energy**: -8.6 eV per cell
# **ρ**: 10.03 g/cm³

---

# PBE-GGA Sr21Hg109, optimized geometry
data_Sr21Hg109
_chemical_formula_sum 'Sr21 Hg109'
_cell_length_a 9.924
_cell_length_b 13.551
_cell_length_c 26.627
_cell_angle_alpha 88.75
_cell_angle_beta 89.99
_cell_angle_gamma 89.94
_symmetry_space_group_name_H-M 'P 1'
_symmetry_Int_Tables_number 1
loop_
_symmetry_equiv_pos_as_xyz
'x,y,z'
loop_
_atom_site_label
_atom_site_fract_x
_atom_site_fract_y
_atom_site_fract_z
Sr1 0.000 0.000 0.000
Sr2 0.000 0.036 0.781
Sr3 0.000 0.122 0.570
Sr4 0.000 0.192 0.349
Sr5 0.000 0.334 0.948
Sr6 0.000 0.534 0.279
Sr7 0.000 0.945 0.209
Sr8 0.001 0.448 0.708
Sr9 0.001 0.834 0.445
Sr10 0.002 0.501 0.497
Sr11 0.003 0.690 0.853
Sr12 0.295 0.776 0.643
Sr13 0.319 0.277 0.144
Sr14 0.501 0.685 0.194
Sr15 0.502 0.143 0.911
Sr16 0.502 0.188 0.694
Sr17 0.502 0.496 0.830
Sr18 0.502 0.644 0.410
Sr19 0.502 0.997 0.330
Sr20 0.709 0.776 0.643
Sr21 0.996 0.622 0.072
Hg1 0.001 0.192 0.193
Hg2 0.001 0.721 0.571
Hg3 0.001 0.771 0.311
Hg4 0.001 0.901 0.645
Hg5 0.002 0.697 0.700
Hg6 0.009 0.221 0.071
Hg7 0.009 0.395 0.147
Hg8 0.152 0.840 0.099
Hg9 0.153 0.722 0.204
Hg10 0.155 0.223 0.706
Hg11 0.155 0.966 0.339
Hg12 0.156 0.131 0.892
Hg13 0.157 0.465 0.839
Hg14 0.159 0.335 0.599
Hg15 0.159 0.631 0.393
Hg16 0.159 0.769 0.983
Hg17 0.163 0.271 0.483
Hg18 0.164 0.404 0.383
Hg19 0.165 0.905 0.883
Hg20 0.167 0.058 0.450
Hg21 0.167 0.556 0.951
Hg22 0.200 0.548 0.613
Hg23 0.202 0.928 0.545
Hg24 0.203 0.338 0.269
Hg25 0.204 0.051 0.115
Hg26 0.204 0.839 0.770
Hg27 0.207 0.431 0.047
Hg28 0.230 0.024 0.675
Hg29 0.235 0.524 0.175
Hg30 0.240 0.107 0.255
Hg31 0.240 0.606 0.756
Hg32 0.246 0.190 0.001
Hg33 0.247 0.691 0.502
Hg34 0.331 0.559 0.298
Hg35 0.332 0.203 0.376
Hg36 0.333 0.359 0.923
Hg37 0.333 0.665 0.072
Hg38 0.335 0.279 0.810
Hg39 0.335 0.699 0.878
Hg40 0.335 0.861 0.423
Hg41 0.335 0.957 0.987
Hg42 0.336 0.780 0.311
Hg43 0.337 0.057 0.796
Hg44 0.338 0.156 0.573
Hg45 0.339 0.460 0.488
Hg46 0.339 0.904 0.212
Hg47 0.340 0.406 0.712
Hg48 0.495 0.106 0.059
Hg49 0.499 0.256 0.478
Hg50 0.499 0.408 0.373
Hg51 0.499 0.479 0.109
Hg52 0.499 0.726 0.773
Hg53 0.499 0.907 0.872
Hg54 0.500 0.377 0.595
Hg55 0.501 0.536 0.978
Hg56 0.502 0.036 0.480
Hg57 0.502 0.429 0.228
Hg58 0.502 0.588 0.677
Hg59 0.502 0.607 0.562
Hg60 0.502 0.756 0.978
Hg61 0.502 0.925 0.724
Hg62 0.503 0.227 0.273
Hg63 0.503 0.875 0.095
Hg64 0.503 0.976 0.611
Hg65 0.504 0.326 0.027
Hg66 0.504 0.825 0.530
Hg67 0.507 0.084 0.175
Hg68 0.660 0.159 0.574
Hg69 0.663 0.657 0.074
Hg70 0.664 0.406 0.711
Hg71 0.664 0.958 0.987
Hg72 0.665 0.057 0.797
Hg73 0.665 0.461 0.487
Hg74 0.665 0.861 0.424
Hg75 0.665 0.905 0.213
Hg76 0.666 0.280 0.810
Hg77 0.666 0.780 0.311
Hg78 0.667 0.559 0.298
Hg79 0.669 0.200 0.378
Hg80 0.669 0.358 0.922
Hg81 0.670 0.702 0.875
Hg82 0.692 0.280 0.144
Hg83 0.758 0.689 0.501
Hg84 0.759 0.188 0.004
Hg85 0.763 0.606 0.756
Hg86 0.765 0.109 0.256
Hg87 0.769 0.514 0.173
Hg88 0.772 0.024 0.676
Hg89 0.793 0.063 0.115
Hg90 0.800 0.837 0.769
Hg91 0.801 0.548 0.611
Hg92 0.802 0.337 0.265
Hg93 0.802 0.928 0.545
Hg94 0.805 0.417 0.049
Hg95 0.831 0.555 0.953
Hg96 0.834 0.403 0.382
Hg97 0.834 0.844 0.101
Hg98 0.836 0.770 0.985
Hg99 0.837 0.270 0.485
Hg100 0.838 0.903 0.883
Hg101 0.840 0.058 0.451
Hg102 0.842 0.130 0.893
Hg103 0.845 0.336 0.599
Hg104 0.845 0.717 0.203
Hg105 0.846 0.630 0.392
Hg106 0.847 0.965 0.340
Hg107 0.849 0.223 0.705
Hg108 0.849 0.467 0.840
Hg109 0.999 0.273 0.812
# **Magnetic moment**: 0.10 μB per cell
# **DFT total energy**: -105.7 eV per cell
# **ρ**: 11.00 g/cm³

---

# PBE-GGA SrTlHg2, optimized geometry
data_SrTlHg2
_chemical_formula_sum 'Sr1 Tl1 Hg2'
_cell_length_a 5.490
_cell_length_b 5.490
_cell_length_c 5.490
_cell_angle_alpha 60.00
_cell_angle_beta 60.00
_cell_angle_gamma 60.00
_symmetry_space_group_name_H-M 'P 1'
_symmetry_Int_Tables_number 1
loop_
_symmetry_equiv_pos_as_xyz
'x,y,z'
loop_
_atom_site_label
_atom_site_fract_x
_atom_site_fract_y
_atom_site_fract_z
Sr1 0.000 0.000 0.000
Tl1 0.500 0.500 0.500
Hg1 0.250 0.250 0.250
Hg2 0.750 0.750 0.750
# **DFT total energy**: -6.2 eV per cell
# **ρ**: 9.84 g/cm³

---

# PBE-GGA TbHg3, optimized geometry
data_TbHg3
_chemical_formula_sum 'Tb2 Hg6'
_cell_length_a 6.665
_cell_length_b 6.665
_cell_length_c 5.039
_cell_angle_alpha 90.00
_cell_angle_beta 90.00
_cell_angle_gamma 120.00
_symmetry_space_group_name_H-M 'P 1'
_symmetry_Int_Tables_number 1
loop_
_symmetry_equiv_pos_as_xyz
'x,y,z'
loop_
_atom_site_label
_atom_site_fract_x
_atom_site_fract_y
_atom_site_fract_z
Tb1 0.333 0.667 0.250
Tb2 0.667 0.333 0.750
Hg1 0.166 0.332 0.750
Hg2 0.166 0.834 0.750
Hg3 0.332 0.166 0.250
Hg4 0.668 0.834 0.750
Hg5 0.834 0.166 0.250
Hg6 0.834 0.668 0.250
# **DFT total energy**: -14.0 eV per cell
# **ρ**: 13.03 g/cm³

---

# PBE-GGA TbHg, optimized geometry
data_TbHg
_chemical_formula_sum 'Tb1 Hg1'
_cell_length_a 3.743
_cell_length_b 3.743
_cell_length_c 3.743
_cell_angle_alpha 90.00
_cell_angle_beta 90.00
_cell_angle_gamma 90.00
_symmetry_space_group_name_H-M 'P 1'
_symmetry_Int_Tables_number 1
loop_
_symmetry_equiv_pos_as_xyz
'x,y,z'
loop_
_atom_site_label
_atom_site_fract_x
_atom_site_fract_y
_atom_site_fract_z
Tb1 0.000 0.000 0.000
Hg1 0.500 0.500 0.500
# **DFT total energy**: -5.9 eV per cell
# **ρ**: 11.38 g/cm³

---

# PBE-GGA Tb2TlHg, optimized geometry
data_Tb2TlHg
_chemical_formula_sum 'Tb2 Tl1 Hg1'
_cell_length_a 5.344
_cell_length_b 5.344
_cell_length_c 5.344
_cell_angle_alpha 60.00
_cell_angle_beta 60.00
_cell_angle_gamma 60.00
_symmetry_space_group_name_H-M 'P 1'
_symmetry_Int_Tables_number 1
loop_
_symmetry_equiv_pos_as_xyz
'x,y,z'
loop_
_atom_site_label
_atom_site_fract_x
_atom_site_fract_y
_atom_site_fract_z
Tb1 0.250 0.250 0.250
Tb2 0.750 0.750 0.750
Tl1 0.000 0.000 0.000
Hg1 0.500 0.500 0.500
# **DFT total energy**: -13.6 eV per cell
# **ρ**: 11.12 g/cm³